[1]
DFT (GGA-PBE) results for a relaxed structure of Na4ScAlSiP2O12.

Unit cell a=8.9463 b=8.9509 c=21.9692 alpha=89.99 beta=89.86 gamma=60.04
With the nearest neighbours (Å) after each atom.
Space group P1 (No. 1)
Symmetry-distinct sites (fractional):
Na (0.0000, 0.0000, 0.0000)  5 O 2.40-2.59
Na (0.0004, 0.3605, 0.2458)  6 O 2.43-2.62
Na (0.0070, 0.7246, 0.4972)  6 O 2.43-2.69
Na (0.0081, 0.3609, 0.7487)  6 O 2.46-2.60
Na (0.0303, 0.0358, 0.3276)  6 O 2.44-2.71
Na (0.0377, 0.6640, 0.8305)  6 O 2.43-2.69
Na (0.3039, 0.0340, 0.8278)  6 O 2.46-2.74
Na (0.3089, 0.3967, 0.3328)  6 O 2.44-2.71
Na (0.3322, 0.0641, 0.1638)  5 O 2.38-2.64
Na (0.3374, 0.3246, 0.6645)  6 O 2.42-2.60
Na (0.3388, 0.6921, 0.4148)  6 O 2.44-2.57
Na (0.3396, 0.6926, 0.9135)  6 O 2.50-2.62
Na (0.3669, 0.0037, 0.5009)  6 O 2.45-2.71
Na (0.3751, 0.3655, 0.9961)  6 O 2.39-2.65
Na (0.6347, 0.3658, 0.4968)  6 O 2.42-2.70
Na (0.6356, 0.7294, 0.9963)  6 O 2.38-2.65
Na (0.6632, 0.0338, 0.5820)  6 O 2.42-2.59
Na (0.6658, 0.3976, 0.8326)  6 O 2.47-2.71
Na (0.6693, 0.6628, 0.3303)  6 O 2.44-2.67
Na (0.6736, 0.0337, 0.0796)  6 O 2.38-2.58
Na (0.7007, 0.7005, 0.6636)  5 O 2.35-2.61
Na (0.7091, 0.3279, 0.1622)  6 O 2.47-2.61
Na (0.9720, 0.0651, 0.6657)  6 O 2.37-2.65
Na (0.9715, 0.7006, 0.1615)  6 O 2.42-2.68
Sc (0.0047, 0.3661, 0.3988)  6 O 2.03-2.14
Sc (0.0117, 0.3588, 0.6012)  5 O 1.95-2.17
Sc (0.3348, 0.7004, 0.2617)  6 O 2.00-2.14
Sc (0.6639, 0.0404, 0.4319)  6 O 1.96-2.18
Sc (0.6652, 0.0430, 0.9310)  5 O 1.98-2.19
Sc (0.6762, 0.0352, 0.2267)  5 O 1.96-2.19
Al (0.0010, 0.3586, 0.0969)  4 O 1.80-1.94
Al (0.0036, 0.3669, 0.8976)  4 O 1.86-1.96
Al (0.3349, 0.6971, 0.7641)  4 O 1.82-1.92
Al (0.3381, 0.6974, 0.5652)  6 O 1.85-2.03
Al (0.3386, 0.6950, 0.0618)  4 O 1.83-1.93
Al (0.6558, 0.0343, 0.7302)  4 O 1.84-2.03
Si (0.0489, 0.9938, 0.1583)  4 O 1.64-1.65
Si (0.3014, 0.3742, 0.4998)  4 O 1.63-1.64
Si (0.3434, 0.9773, 0.6661)  4 O 1.63-1.67
Si (0.3691, 0.3321, 0.8283)  4 O 1.64-1.67
Si (0.6696, 0.3328, 0.3300)  4 O 1.63
Si (0.7137, 0.3724, 0.9980)  4 O 1.62-1.67
P (0.0080, 0.6450, 0.9987)  4 O 1.54-1.57
P (0.0099, 0.0611, 0.4995)  4 O 1.54-1.55
P (0.0470, 0.7061, 0.6658)  4 O 1.54-1.57
P (0.2846, 0.0778, 0.9980)  4 O 1.54-1.56
P (0.3284, 0.4093, 0.1591)  4 O 1.54-1.56
P (0.3741, 0.0313, 0.3296)  4 O 1.54-1.55
P (0.6182, 0.4105, 0.6658)  4 O 1.54-1.57
P (0.6318, 0.6927, 0.1592)  4 O 1.55-1.56
P (0.6693, 0.7378, 0.8286)  4 O 1.55-1.56
P (0.7010, 0.6604, 0.4999)  4 O 1.54-1.55
P (0.9631, 0.0304, 0.8277)  4 O 1.55-1.56
P (0.9647, 0.7353, 0.3301)  4 O 1.54-1.55
O (0.0221, 0.5462, 0.6613)  1 P 1.56
O (0.0281, 0.1877, 0.1535)  1 Si 1.65
O (0.0371, 0.5336, 0.9407)  1 P 1.56
O (0.0412, 0.1419, 0.4420)  1 P 1.55
O (0.1309, 0.7331, 0.6080)  1 P 1.55
O (0.1442, 0.7196, 0.3253)  1 P 1.54
O (0.1465, 0.8684, 0.8211)  1 P 1.56
O (0.1480, 0.8597, 0.1022)  1 Si 1.64, 1 Al 1.83
O (0.1596, 0.9180, 0.2212)  1 Si 1.64
O (0.1643, 0.3921, 0.1521)  1 P 1.56
O (0.1642, 0.6712, 0.7215)  1 P 1.54
O (0.1701, 0.1722, 0.6630)  1 Si 1.66
O (0.1710, 0.6663, 0.0036)  1 P 1.57
O (0.1722, 0.1624, 0.9406)  1 P 1.56
O (0.1745, 0.8827, 0.5067)  1 P 1.55
O (0.1773, 0.3476, 0.8388)  1 Si 1.67
O (0.1823, 0.4113, 0.4389)  1 Si 1.64
O (0.1952, 0.1945, 0.3351)  1 P 1.54
O (0.2028, 0.1948, 0.0541)  1 P 1.54
O (0.2127, 0.3338, 0.5575)  1 Si 1.63
O (0.2965, 0.5156, 0.2182)  1 P 1.55
O (0.3042, 0.8947, 0.0036)  1 P 1.56
O (0.3100, 0.8864, 0.7246)  1 Si 1.63, 1 Al 1.82
O (0.3184, 0.5473, 0.5085)  1 Si 1.64
O (0.3493, 0.5252, 0.8195)  1 Si 1.66
O (0.3547, 0.8694, 0.3261)  1 P 1.55
O (0.3637, 0.4980, 0.1051)  1 P 1.54
O (0.3721, 0.8596, 0.6051)  1 Si 1.64
O (0.4578, 0.0593, 0.2728)  1 P 1.54
O (0.4647, 0.1991, 0.7711)  1 Si 1.65, 1 Al 1.84
O (0.4693, 0.0535, 0.9933)  1 P 1.56
O (0.4868, 0.9992, 0.3869)  1 P 1.55
O (0.4893, 0.2270, 0.1640)  1 P 1.55
O (0.4907, 0.1981, 0.4961)  1 Si 1.64
O (0.4906, 0.2541, 0.8889)  1 Si 1.64
O (0.4963, 0.5222, 0.3262)  1 Si 1.63
O (0.5064, 0.4920, 0.6081)  1 P 1.55
O (0.5073, 0.7169, 0.8210)  1 P 1.56
O (0.5099, 0.7227, 0.1051)  1 P 1.55
O (0.5165, 0.5451, 0.0052)  1 Si 1.67
O (0.5177, 0.9997, 0.6716)  1 Si 1.67
O (0.5202, 0.6779, 0.5058)  1 P 1.55
O (0.5322, 0.5262, 0.7217)  1 P 1.54
O (0.5587, 0.6573, 0.2181)  1 P 1.55
O (0.6338, 0.8497, 0.8864)  1 P 1.55
O (0.6353, 0.2463, 0.3900)  1 Si 1.63
O (0.6427, 0.2251, 0.6717)  1 P 1.57
O (0.6452, 0.8581, 0.1642)  1 P 1.55
O (0.6851, 0.8399, 0.4936)  1 P 1.55
O (0.6931, 0.1985, 0.9945)  1 Si 1.66
O (0.7036, 0.2108, 0.2703)  1 Si 1.63
O (0.7037, 0.8261, 0.7734)  1 P 1.56
O (0.7804, 0.5484, 0.4421)  1 P 1.55
O (0.7997, 0.3929, 0.6610)  1 P 1.55
O (0.8043, 0.4025, 0.9371)  1 Si 1.65
O (0.8166, 0.5336, 0.1531)  1 P 1.56
O (0.8177, 0.5763, 0.5554)  1 P 1.54
O (0.8343, 0.5563, 0.8348)  1 P 1.56
O (0.8366, 0.3380, 0.0567)  1 Si 1.62, 1 Al 1.80
O (0.8413, 0.0617, 0.7728)  1 P 1.56
O (0.8433, 0.3484, 0.3342)  1 Si 1.63
O (0.8446, 0.8270, 0.9938)  1 P 1.56
O (0.8502, 0.0382, 0.4937)  1 P 1.55
O (0.8512, 0.8175, 0.2735)  1 P 1.54
O (0.8572, 0.0096, 0.1620)  1 Si 1.65
O (0.8646, 0.8708, 0.6724)  1 P 1.57
O (0.8822, 0.8465, 0.3876)  1 P 1.55
O (0.8885, 0.9927, 0.8858)  1 P 1.55
O (0.9699, 0.1817, 0.5547)  1 P 1.54
O (0.9795, 0.1954, 0.8352)  1 P 1.56
O (0.9803, 0.5583, 0.0549)  1 P 1.54
O (0.9837, 0.5549, 0.3341)  1 P 1.54

Summary:
Crystal system ... triclinic


[2]
DFT (GGA-PBE) results for a relaxed structure of Na4Al2SiP2O12.

Unit cell a=15.0931 b=8.7137 c=21.5149 alpha=90.00 beta=90.00 gamma=90.00
With the nearest neighbours (Å) after each atom.
Space group Cc (No. 9)
Symmetry-distinct sites (fractional):
Na (0.0000, 0.1299, 0.0000)  6 O 2.38-2.62
Na (0.0167, 0.1798, 0.3367)  6 O 2.36-2.63
Na (0.1491, 0.3154, 0.8348)  6 O 2.37-2.60
Na (0.1646, 0.0006, 0.4180)  6 O 2.43-2.51
Na (0.1684, 0.3637, 0.1673)  5 O 2.32-2.59
Na (0.1813, 0.3156, 0.5007)  6 O 2.35-2.60
Na (0.3187, 0.1842, 0.0035)  5 O 2.33-2.54
Na (0.3353, 0.1356, 0.3326)  6 O 2.36-2.63
Na (0.3346, 0.4955, 0.0847)  6 O 2.40-2.52
Na (0.3496, 0.1798, 0.6688)  5 O 2.32-2.60
Na (0.4816, 0.3145, 0.1679)  6 O 2.42-2.56
Na (0.4987, 0.0034, 0.2514)  6 O 2.40-2.52
Al (0.0011, 0.5001, 0.4000)  6 O 1.83-2.03
Al (0.1663, 0.0004, 0.0665)  6 O 1.82-2.02
Al (0.1669, 0.0011, 0.7695)  6 O 1.82-2.03
Al (0.3349, 0.4912, 0.2331)  5 O 1.81-2.03
Al (0.3386, 0.4975, 0.9362)  5 O 1.81-2.02
Al (0.4968, 0.0056, 0.1030)  4 O 1.80-1.95
Si (0.0007, 0.2094, 0.5010)  4 O 1.63-1.65
Si (0.3110, 0.1440, 0.1680)  4 O 1.63-1.65
Si (0.4803, 0.3533, 0.3346)  4 O 1.63-1.65
P (0.0225, 0.1458, 0.1679)  4 O 1.55
P (0.1444, 0.3567, 0.0017)  4 O 1.55-1.56
P (0.1677, 0.2899, 0.6681)  4 O 1.55
P (0.1900, 0.3571, 0.3351)  4 O 1.55-1.56
P (0.3334, 0.2129, 0.8343)  4 O 1.55-1.56
P (0.3558, 0.1448, 0.5014)  4 O 1.55-1.56
O (0.0142, 0.3227, 0.1603)  1 P 1.55
O (0.0199, 0.3177, 0.4404)  1 Si 1.64
O (0.0633, 0.0664, 0.1103)  1 P 1.55
O (0.0791, 0.0677, 0.8265)  1 Si 1.65
O (0.0817, 0.1215, 0.2259)  1 P 1.55
O (0.0851, 0.3795, 0.9437)  1 P 1.55
O (0.0856, 0.3962, 0.6615)  1 P 1.55
O (0.0892, 0.0993, 0.5092)  1 Si 1.65
O (0.0961, 0.4293, 0.3407)  1 P 1.56
O (0.1021, 0.4317, 0.0597)  1 P 1.55
O (0.1484, 0.1888, 0.7258)  1 P 1.55
O (0.1549, 0.1796, 0.0074)  1 P 1.56
O (0.1802, 0.1799, 0.3285)  1 P 1.56
O (0.1850, 0.1889, 0.6102)  1 P 1.55
O (0.2306, 0.4352, 0.2772)  1 P 1.55
O (0.2373, 0.4316, 0.9941)  1 P 1.56
O (0.2477, 0.1179, 0.1073)  1 Si 1.63, 1 Al 1.82
O (0.2491, 0.3826, 0.3930)  1 P 1.55
O (0.2502, 0.1082, 0.8286)  1 P 1.56
O (0.2520, 0.3907, 0.6757)  1 P 1.55
O (0.2627, 0.0700, 0.5080)  1 P 1.56
O (0.2664, 0.0621, 0.2288)  1 Si 1.63, 1 Al 1.82
O (0.3145, 0.3131, 0.8923)  1 P 1.55
O (0.3208, 0.3321, 0.1740)  1 Si 1.65
O (0.3435, 0.3212, 0.4946)  1 P 1.55
O (0.3501, 0.3142, 0.7765)  1 P 1.55
O (0.3976, 0.0673, 0.4436)  1 P 1.55
O (0.4100, 0.0645, 0.1620)  1 Si 1.65
O (0.4111, 0.3980, 0.9950)  1 Si 1.65
O (0.4161, 0.1242, 0.5589)  1 P 1.55
O (0.4170, 0.1096, 0.8410)  1 P 1.56
O (0.4168, 0.3782, 0.2743)  1 Si 1.63, 1 Al 1.81
O (0.4283, 0.4242, 0.6747)  1 P 1.55
O (0.4362, 0.4361, 0.3950)  1 Si 1.63, 1 Al 1.81
O (0.4820, 0.1834, 0.0615)  1 Si 1.63, 1 Al 1.80
O (0.4903, 0.1658, 0.3429)  1 Si 1.65

Summary:
Crystal system ... monoclinic


[3]
DFT (GGA-PBE) results for a relaxed structure of Na7Al2Si3Sn2P3O24.

Unit cell a=8.8671 b=8.8966 c=21.9522 alpha=89.57 beta=89.61 gamma=60.16
With the nearest neighbours (Å) after each atom.
Space group P1 (No. 1)
Symmetry-distinct sites (fractional):
Na (0.0000, 0.0000, 0.0000)  5 O 2.40-2.59
Na (0.0000, 0.3610, 0.4973)  6 O 2.42-2.67
Na (0.0281, 0.6684, 0.5825)  6 O 2.45-2.59
Na (0.0327, 0.0315, 0.3328)  6 O 2.38-2.61
Na (0.0382, 0.2950, 0.8327)  6 O 2.41-2.68
Na (0.0392, 0.6626, 0.0825)  6 O 2.42-2.63
Na (0.0630, 0.3305, 0.1669)  5 O 2.35-2.57
Na (0.0668, 0.9622, 0.6642)  5 O 2.34-2.55
Na (0.3395, 0.3322, 0.6674)  4 O 2.31-2.58
Na (0.3640, 0.3645, 0.9995)  6 O 2.42-2.65
Na (0.3651, 0.6314, 0.5018)  6 O 2.43-2.65
Na (0.3674, 0.9969, 0.2490)  6 O 2.46-2.58
Na (0.3785, 0.9888, 0.7498)  6 O 2.43-2.61
Na (0.4035, 0.6583, 0.8312)  6 O 2.41-2.69
Na (0.6648, 0.0335, 0.8306)  6 O 2.42-2.70
Na (0.6740, 0.6621, 0.3304)  5 O 2.33-2.55
Na (0.7004, 0.3245, 0.4164)  6 O 2.41-2.60
Na (0.7010, 0.3301, 0.9158)  6 O 2.45-2.53
Na (0.7027, 0.9626, 0.1667)  5 O 2.37-2.55
Na (0.7384, 0.6250, 0.0010)  6 O 2.41-2.66
Na (0.7381, 0.9968, 0.4997)  6 O 2.43-2.62
Al (0.0308, 0.6699, 0.4327)  5 O 1.82-2.03
Al (0.0406, 0.6542, 0.9330)  5 O 1.83-2.01
Al (0.3618, 0.0039, 0.8988)  5 O 1.83-2.02
Al (0.6877, 0.3319, 0.7658)  4 O 1.79-1.96
Al (0.7043, 0.3233, 0.5671)  4 O 1.82-1.95
Al (0.7127, 0.3271, 0.0655)  4 O 1.81-1.93
Si (0.0378, 0.3770, 0.3352)  4 O 1.62-1.66
Si (0.0652, 0.9965, 0.5001)  4 O 1.64-1.65
Si (0.0713, 0.2926, 0.9965)  4 O 1.63-1.66
Si (0.3310, 0.3663, 0.8352)  4 O 1.63-1.66
Si (0.4241, 0.6111, 0.6662)  4 O 1.61-1.68
Si (0.6967, 0.6194, 0.1633)  4 O 1.62-1.66
Si (0.7014, 0.0446, 0.6667)  4 O 1.62-1.66
Si (0.7438, 0.9540, 0.3350)  4 O 1.62-1.64
Si (0.9908, 0.0391, 0.1636)  4 O 1.62-1.64
Sn (0.0332, 0.6607, 0.7299)  6 O 2.02-2.12
Sn (0.0347, 0.6632, 0.2289)  6 O 1.99-2.15
Sn (0.3644, 0.0046, 0.3972)  6 O 2.00-2.14
Sn (0.3648, 0.9941, 0.0999)  6 O 2.01-2.15
Sn (0.3731, 0.9886, 0.6035)  6 O 2.02-2.17
Sn (0.7010, 0.3308, 0.2695)  6 O 2.00-2.13
P (0.0366, 0.9544, 0.8355)  4 O 1.55-1.57
P (0.3218, 0.6595, 0.3359)  4 O 1.53-1.57
P (0.3658, 0.7040, 0.9953)  4 O 1.55-1.56
P (0.3677, 0.2960, 0.5004)  4 O 1.54-1.56
P (0.4169, 0.3325, 0.1618)  4 O 1.53-1.57
P (0.6619, 0.9955, 0.9959)  4 O 1.54-1.56
P (0.6675, 0.6969, 0.4989)  4 O 1.54-1.56
P (0.7411, 0.6641, 0.8361)  4 O 1.55-1.56
P (0.9775, 0.3334, 0.6665)  4 O 1.53-1.58
O (0.0005, 0.8653, 0.8899)  1 P 1.55
O (0.0066, 0.4919, 0.6691)  1 P 1.56
O (0.0084, 0.4994, 0.3933)  1 Si 1.62
O (0.0079, 0.8476, 0.1676)  1 Si 1.64
O (0.0500, 0.4875, 0.9893)  1 Si 1.65
O (0.0528, 0.8195, 0.4925)  1 Si 1.64
O (0.0718, 0.4484, 0.2708)  1 Si 1.63
O (0.0748, 0.8425, 0.7767)  1 P 1.57
O (0.1498, 0.0415, 0.4408)  1 Si 1.64
O (0.1648, 0.1687, 0.6627)  1 P 1.58
O (0.1667, 0.1588, 0.9404)  1 Si 1.63
O (0.1798, 0.0295, 0.1607)  1 Si 1.64
O (0.1958, 0.9517, 0.5589)  1 Si 1.65
O (0.1974, 0.2173, 0.0572)  1 Si 1.66
O (0.1984, 0.6895, 0.9889)  1 P 1.56
O (0.2004, 0.1768, 0.3360)  1 Si 1.64
O (0.2030, 0.4740, 0.4919)  1 P 1.54
O (0.2039, 0.9686, 0.8421)  1 P 1.56
O (0.2052, 0.4412, 0.7740)  1 Si 1.66
O (0.2107, 0.7001, 0.2778)  1 P 1.54
O (0.2249, 0.6319, 0.6690)  1 Si 1.68
O (0.2322, 0.4920, 0.1664)  1 P 1.55
O (0.2351, 0.4999, 0.8912)  1 Si 1.63
O (0.2350, 0.6374, 0.3929)  1 P 1.53
O (0.3245, 0.8197, 0.0527)  1 P 1.56
O (0.3256, 0.2172, 0.5574)  1 P 1.56
O (0.3450, 0.8225, 0.3397)  1 P 1.57
O (0.3523, 0.1713, 0.8426)  1 Si 1.66
O (0.3849, 0.8131, 0.6648)  1 Si 1.65
O (0.3965, 0.1676, 0.1588)  1 P 1.57
O (0.4022, 0.7920, 0.9406)  1 P 1.55
O (0.4147, 0.1696, 0.4462)  1 P 1.55
O (0.5052, 0.3535, 0.1048)  1 P 1.53
O (0.5054, 0.4993, 0.3316)  1 P 1.54
O (0.5087, 0.4943, 0.6056)  1 Si 1.63
O (0.5198, 0.0356, 0.6623)  1 Si 1.66
O (0.5245, 0.3491, 0.8278)  1 Si 1.65
O (0.5256, 0.2945, 0.2205)  1 P 1.55
O (0.5271, 0.5218, 0.0032)  1 P 1.55
O (0.5309, 0.3148, 0.5068)  1 P 1.54
O (0.5321, 0.5272, 0.7280)  1 Si 1.61, 1 Al 1.79
O (0.5357, 0.8203, 0.1598)  1 Si 1.64
O (0.5397, 0.0242, 0.9420)  1 P 1.54
O (0.5474, 0.7750, 0.4423)  1 P 1.56
O (0.5563, 0.8248, 0.8434)  1 P 1.56
O (0.5556, 0.9610, 0.3389)  1 Si 1.64
O (0.5874, 0.8238, 0.5530)  1 P 1.55
O (0.5908, 0.9521, 0.0549)  1 P 1.56
O (0.6613, 0.5483, 0.2276)  1 Si 1.63
O (0.6722, 0.1594, 0.7274)  1 Si 1.63, 1 Al 1.82
O (0.6731, 0.1629, 0.0027)  1 P 1.55
O (0.6819, 0.5179, 0.5077)  1 P 1.54
O (0.7267, 0.1453, 0.3308)  1 Si 1.63
O (0.7281, 0.4967, 0.1052)  1 Si 1.62
O (0.7303, 0.4966, 0.8287)  1 P 1.55
O (0.7354, 0.1280, 0.6057)  1 Si 1.62
O (0.8139, 0.7108, 0.7785)  1 P 1.56
O (0.8173, 0.8410, 0.2722)  1 Si 1.64
O (0.8465, 0.8346, 0.9886)  1 P 1.56
O (0.8494, 0.6782, 0.4920)  1 P 1.54
O (0.8582, 0.3624, 0.3330)  1 Si 1.66
O (0.8614, 0.6342, 0.8910)  1 P 1.55
O (0.8657, 0.1282, 0.1051)  1 Si 1.62
O (0.8685, 0.8638, 0.3931)  1 Si 1.62
O (0.8752, 0.3543, 0.6079)  1 P 1.53
O (0.8756, 0.1376, 0.8281)  1 P 1.55
O (0.8760, 0.1738, 0.5072)  1 Si 1.64
O (0.8772, 0.6318, 0.1659)  1 Si 1.66
O (0.8766, 0.8510, 0.6706)  1 Si 1.65
O (0.8784, 0.3085, 0.0046)  1 Si 1.65
O (0.8968, 0.3032, 0.7244)  1 P 1.54
O (0.9164, 0.1527, 0.2261)  1 Si 1.64

Summary:
Crystal system ... triclinic


Here are the calculated ΔH_f (0 K) numbers, same order: -61.94 -60.36 -111.76 (eV/f.u.).
Here are the calculated energy numbers, same order: -6.890 -6.692 -6.617 (eV per atom).